Record 1
# Nb3SiNi2

A relaxed structure of Nb3SiNi2 (GGA-PBE, the Materials Project).

a = 11.2154 Å, b = 11.2154 Å, c = 11.2154 Å
α = 90.00°, β = 90.00°, γ = 90.00°
Space group Fd-3m (No. 227, origin choice 2)
Symmetry-distinct sites (fractional):
Nb 0.0775 0.3750 0.3750 x48
Si 0.0000 0.0000 0.5000 x16
Ni 0.0427 0.0427 0.7073 x32

Record 2
# YTi2O4

A relaxed structure of YTi2O4 (GGA-PBE, the Materials Project).

energy relative to the lowest polymorph listed for this composition: 1.1 kJ/mol of atoms

a = 6.1721 Å, b = 6.4518 Å, c = 8.6171 Å
α = 90.00°, β = 90.00°, γ = 90.00°
Space group Imma (No. 74)
Symmetry-distinct sites (fractional):
Y 0.0000 0.0000 0.0000 x4
Ti 0.0000 0.0000 0.5000 x4
Ti 0.2500 0.2500 0.2500 x4
O 0.0000 0.0348 0.2637 x8
O 0.2314 0.2500 0.4981 x8

Record 3
# SiO2

A relaxed structure of SiO2 (GGA-PBE, the Materials Project).

a = 13.7280 Å, b = 13.7280 Å, c = 7.6879 Å
α = 90.00°, β = 90.00°, γ = 90.00°
Space group P4/nmm (No. 129, origin choice 2)
Symmetry-distinct sites (fractional):
Si 0.0258 0.6353 0.1447 x16
Si 0.1371 0.6371 0.5000 x8
O 0.0010 0.2500 0.8711 x8
O 0.0668 0.6099 0.3379 x16
O 0.0727 0.0727 0.8902 x8
O 0.1081 0.6081 0.0000 x8
O 0.1204 0.7500 0.5590 x8

Record 4
# Eu4BClO7

A relaxed structure of Eu4BClO7 (GGA-PBE, the Materials Project).

a = 8.9202 Å, b = 8.3122 Å, c = 12.6684 Å
α = 90.00°, β = 121.55°, γ = 90.00°
Space group P2_1/c (No. 14)
Symmetry-distinct sites (fractional):
Eu 0.0789 0.1345 0.4222 x4
Eu 0.0896 0.6188 0.4176 x4
Eu 0.3022 0.1301 0.7820 x4
Eu 0.3182 0.6143 0.7810 x4
B 0.3677 0.1285 0.0863 x4
Cl 0.3825 0.6359 0.0362 x4
O 0.0408 0.1230 0.5949 x4
O 0.0647 0.6238 0.5902 x4
O 0.1724 0.1167 0.2788 x4
O 0.1922 0.6355 0.2771 x4
O 0.2798 0.1199 0.9586 x4
O 0.3896 0.2231 0.6400 x4
O 0.4205 0.5107 0.6540 x4

Number 1: volume 1410.7 Å³ per cell, raw total energy -8.28 eV per atom, E_form -395 meV per atom. Number 2: volume 343.1 Å³ per cell, raw total energy -8.85 eV per atom, E_form -3239 meV per atom. Number 3: volume 1448.8 Å³ per cell, raw total energy -7.91 eV per atom, E_form -3256 meV per atom. Number 4: volume 800.5 Å³ per cell, raw total energy -9.16 eV per atom, E_form -3056 meV per atom.